## Li3V3P4O16 (GGA+U)

Data for a geometry-optimized Li3V3P4O16 structure.

Cell lengths 8.4038, 8.8445, 13.5230 Å; angles 84.51, 89.94, 89.87 degrees
Sites, in units of the cell vectors:
Li 0.4792 0.6609 0.8291
Li 0.5238 0.0019 0.5029
Li 0.1458 0.5619 0.8243
Li 0.6466 0.9396 0.1783
Li 0.0040 0.1814 0.8427
Li 0.9896 0.4857 0.4970
Li 0.9742 0.8396 0.1725
Li 0.8520 0.1024 0.5075
Li 0.5082 0.3165 0.1613
V 0.8548 0.7683 0.8392
V 0.1423 0.8980 0.4952
V 0.6503 0.2679 0.8400
V 0.6544 0.6044 0.5013
V 0.3490 0.0651 0.8323
V 0.3532 0.3984 0.4958
V 0.3577 0.7352 0.1604
V 0.8447 0.4340 0.1704
V 0.1480 0.2294 0.1595
P 0.1928 0.8540 0.9438
P 0.6974 0.9743 0.7201
P 0.2979 0.3607 0.9437
P 0.3027 0.6924 0.6137
P 0.8008 0.4794 0.7241
P 0.8108 0.8115 0.3857
P 0.1991 0.1873 0.6105
P 0.2000 0.5240 0.2758
P 0.7022 0.3074 0.3902
P 0.6935 0.6455 0.0568
P 0.2997 0.0212 0.2771
P 0.7985 0.1389 0.0567
O 0.8624 0.9780 0.7769
O 0.3594 0.8538 0.8877
O 0.0752 0.7459 0.8998
O 0.7125 0.6923 0.9451
O 0.6436 0.8096 0.7514
O 0.3697 0.5171 0.9285
O 0.3560 0.8570 0.5820
O 0.2964 0.6432 0.7228
O 0.9154 0.5922 0.7693
O 0.2854 0.9755 0.3888
O 0.9250 0.9190 0.4364
O 0.6336 0.4774 0.7784
O 0.1388 0.3484 0.8921
O 0.6427 0.8119 0.4428
O 0.1381 0.6874 0.5568
O 0.4217 0.2408 0.8975
O 0.7962 0.2000 0.9433
O 0.4201 0.5786 0.5604
O 0.7878 0.5260 0.6118
O 0.4163 0.9088 0.2319
O 0.8550 0.3132 0.7482
O 0.7963 0.8545 0.2755
O 0.8572 0.6417 0.4149
O 0.8712 0.9832 0.0709
O 0.1473 0.0238 0.9215
O 0.1466 0.3541 0.5854
O 0.2127 0.1406 0.7229
O 0.1448 0.6889 0.2528
O 0.5811 0.0881 0.7742
O 0.2115 0.4712 0.3873
O 0.5792 0.4285 0.4365
O 0.2122 0.8069 0.0560
O 0.5758 0.7553 0.1007
O 0.8622 0.3185 0.4411
O 0.3671 0.1899 0.5566
O 0.8592 0.6450 0.1136
O 0.3647 0.5219 0.2210
O 0.0846 0.0753 0.5653
O 0.7030 0.0237 0.6110
O 0.0821 0.4107 0.2283
O 0.7044 0.3669 0.2768
O 0.6283 0.1522 0.4069
O 0.6462 0.4763 0.0789
O 0.3509 0.1880 0.2518
O 0.2943 0.3014 0.0573
O 0.9202 0.2586 0.1044
O 0.6382 0.1507 0.1077
O 0.1342 0.0206 0.2210

Values from the calculation:
- Crystal system: triclinic
- Offset from the most stable computed form: 0.047 eV/atom
- Raw total energy: -7.190 eV/atom
- SG: P1
- ΔE_f: -2.66 eV per atom